1.
# SrAsAu

A relaxed SrAsAu crystal (PBE, Materials Project).

For the density, the calculation gives 7.758 Mg/m³. The value obtained for the energy relative to the elements is -2.79 eV per formula unit.

It has space group P6_3/mmc (No. 194), with a = 4.5420 Å, b = 4.5420 Å, c = 8.6147 Å, α = 90.00°, β = 90.00° and γ = 120.00°. Symmetry generates all atoms from Sr at (0.0000, 0.0000, 0.0000), As at (0.3333, 0.6667, 0.2500) and Au at (0.3333, 0.6667, 0.7500).

---

2.
# TbAs2Au

A relaxed TbAs2Au crystal (PBE, Materials Project).

For the density, the calculation gives 10.051 Mg/m³. The magnetic moment comes out at 0.009 μB/f.u. The value obtained for the energy relative to the elements is -2.96 eV per formula unit.

It has space group Cmce (No. 64), with a = 5.6835 Å, b = 5.7034 Å, c = 20.6203 Å, α = 90.00°, β = 90.00° and γ = 90.00°. Symmetry generates all atoms from Tb at (0.0000, 0.2348, 0.1161), As at (0.0000, 0.2368, 0.3473), As at (0.2312, 0.0000, 0.5000) and Au at (0.2500, 0.0532, 0.7500).

---

3.
# BAs

A relaxed BAs crystal (PBE, Materials Project).

For the density, the calculation gives 5.088 Mg/m³. The magnetic moment comes out at 0.002 μB/f.u. The value obtained for the energy relative to the elements is -0.04 eV per formula unit. The value obtained for the largest piezoelectric modulus is 0.0 C/m².

It has space group F-43m (No. 216), with a = 4.8193 Å, b = 4.8193 Å, c = 4.8193 Å, α = 90.00°, β = 90.00° and γ = 90.00°. Symmetry generates all atoms from B at (0.0000, 0.0000, 0.0000) and As at (0.2500, 0.2500, 0.7500).

---

4.
# BAs

A relaxed BAs crystal (PBE, Materials Project).

For the density, the calculation gives 5.097 Mg/m³. The magnetic moment comes out at 0.000 μB/f.u. The value obtained for the energy relative to the elements is -0.02 eV per formula unit. The value obtained for the largest piezoelectric modulus is 0.2 C/m².

It has space group P6_3mc (No. 186), with a = 3.3909 Å, b = 3.3909 Å, c = 5.6095 Å, α = 90.00°, β = 90.00° and γ = 120.00°. Symmetry generates all atoms from B at (0.3333, 0.6667, 0.0000) and As at (0.3333, 0.6667, 0.6256).

---

5.
# BaBAsF10

A relaxed BaBAsF10 crystal (PBE, Materials Project).

For the density, the calculation gives 3.253 Mg/m³. The magnetic moment comes out at 0.000 μB/f.u. The value obtained for the energy relative to the elements is -41.25 eV per formula unit.

It has space group Pnma (No. 62), with a = 10.7063 Å, b = 6.4919 Å, c = 12.1337 Å, α = 90.00°, β = 90.00° and γ = 90.00°. Symmetry generates all atoms from Ba at (0.2351, 0.2500, 0.1107), B at (0.1416, 0.7500, 0.9285), As at (0.0173, 0.7500, 0.3008), F at (0.0096, 0.7500, 0.9283), F at (0.0761, 0.2500, 0.8167), F at (0.0779, 0.0555, 0.6384), F at (0.1105, 0.7500, 0.4223), F at (0.1155, 0.5567, 0.2437), F at (0.1860, 0.5732, 0.9840) and F at (0.1857, 0.7500, 0.8186).

---

6.
# BaBAsO5

A relaxed BaBAsO5 crystal (PBE, Materials Project).

For the density, the calculation gives 4.373 Mg/m³. The magnetic moment comes out at 0.000 μB/f.u. The value obtained for the energy relative to the elements is -21.02 eV per formula unit.

It has space group P3_121 (No. 152), with a = 7.4401 Å, b = 7.4401 Å, c = 7.2015 Å, α = 90.00°, β = 90.00° and γ = 120.00°. Symmetry generates all atoms from Ba at (0.0000, 0.6103, 0.1667), B at (0.0000, 0.0955, 0.1667), As at (0.0000, 0.6065, 0.6667), O at (0.0000, 0.0261, 0.6667), O at (0.1441, 0.8227, 0.8124) and O at (0.1510, 0.5673, 0.5172).

---

7.
# Na2BiBAsO7

A relaxed Na2BiBAsO7 crystal (PBE, Materials Project).

For the density, the calculation gives 3.885 Mg/m³. The magnetic moment comes out at 1.002 μB/f.u. The value obtained for the energy relative to the elements is -23.97 eV per formula unit.

It has space group P2_1/m (No. 11), with a = 5.5330 Å, b = 7.2405 Å, c = 9.6614 Å, α = 90.00°, β = 91.07° and γ = 90.00°. Symmetry generates all atoms from Na at (0.2393, 0.9996, 0.2065), Bi at (0.2116, 0.2500, 0.6377), B at (0.2595, 0.2500, 0.9175), As at (0.2711, 0.7500, 0.5978), O at (0.0404, 0.2500, 0.8465), O at (0.1448, 0.5611, 0.6762), O at (0.1910, 0.7500, 0.4207), O at (0.2917, 0.2500, 0.0573), O at (0.4205, 0.2500, 0.3904) and O at (0.4696, 0.2500, 0.8398).

---

8.
# Na6Bi2B4AsO16

A relaxed Na6Bi2B4AsO16 crystal (PBE, Materials Project).

For the density, the calculation gives 4.012 Mg/m³. The magnetic moment comes out at 0.922 μB/f.u. The value obtained for the energy relative to the elements is -62.70 eV per formula unit.

It has space group Fd-3 (No. 203, origin choice 2), with a = 14.5495 Å, b = 14.5495 Å, c = 14.5495 Å, α = 90.00°, β = 90.00° and γ = 90.00°. Symmetry generates all atoms from Na at (0.0796, 0.3750, 0.3750), Bi at (0.0000, 0.0000, 0.5000), B at (0.0310, 0.0310, 0.7190), As at (0.1250, 0.1250, 0.1250), O at (0.0230, 0.2837, 0.6009) and O at (0.0565, 0.0565, 0.0565).

---

- Number 1 is which compound?
  SrAsAu